1.
First-principles (PBE-GGA) data for MgCr4Cu2S8 after structural relaxation, as listed in the Materials Project database.

Its space group is No. 1. The formation energy is -0.91 eV/atom. The distance to the lowest polymorph of the same formula is 33 meV/atom. For the raw total energy, the calculation gives -91.1 eV per formula unit.

abc: 7.169 7.035 7.187
angles: 59.35 60.02 61.38
Fractional coordinates of all 15 atoms:
Cu: 0.101 0.110 0.145
Mg: 0.556 0.930 0.014
Cu: 0.010 0.981 0.703
S: 0.291 0.684 0.765
S: 0.744 0.713 0.300
S: 0.746 0.716 0.750
Cr: 0.502 0.961 0.523
S: 0.257 0.221 0.746
Cr: 0.498 0.472 0.026
Cr: 0.002 0.470 0.519
S: 0.261 0.696 0.274
S: 0.254 0.218 0.286
Cr: 0.498 0.473 0.513
S: 0.713 0.266 0.762
S: 0.717 0.236 0.276

2.
First-principles (PBE-GGA) data for TmCuAs2 after structural relaxation, as listed in the Materials Project database.

Its space group is No. 129. The formation energy is -0.79 eV/atom. For the raw total energy, the calculation gives -21.0 eV per formula unit.

abc: 3.876 3.876 9.794
angles: 90.00 90.00 90.00
Fractional coordinates of all 8 atoms:
Tm: 0.000 0.500 0.763
Cu: 0.000 0.000 0.500
Cu: 0.500 0.500 0.500
As: 0.000 0.500 0.335
As: 0.000 0.000 0.000
As: 0.500 0.000 0.665
Tm: 0.500 0.000 0.237
As: 0.500 0.500 0.000

3.
First-principles (PBE-GGA) data for LiPrGe4O12 after structural relaxation, as listed in the Materials Project database.

Its space group is No. 123. The formation energy is -1.84 eV/atom. For the raw total energy, the calculation gives -109.5 eV per formula unit.

abc: 5.281 5.281 7.640
angles: 90.00 90.00 90.00
Fractional coordinates of all 18 atoms:
O: 0.500 0.000 0.500
O: 0.245 0.755 0.739
O: 0.245 0.755 0.261
Ge: 0.000 0.500 0.237
Ge: 0.500 0.000 0.763
Pr: 0.000 0.000 0.500
O: 0.755 0.245 0.739
O: 0.500 0.000 0.000
O: 0.245 0.245 0.261
O: 0.000 0.500 0.000
O: 0.755 0.755 0.739
Ge: 0.000 0.500 0.763
Ge: 0.500 0.000 0.237
O: 0.000 0.500 0.500
Li: 0.500 0.500 0.000
O: 0.245 0.245 0.739
O: 0.755 0.755 0.261
O: 0.755 0.245 0.261

4.
First-principles (PBE-GGA) data for Li3Bi2P3O12 after structural relaxation, as listed in the Materials Project database.

Its space group is No. 14. The formation energy is -2.51 eV/atom. The distance to the lowest polymorph of the same formula is 2 meV/atom. For the raw total energy, the calculation gives -131.1 eV per formula unit.

abc: 9.364 8.874 15.564
angles: 56.68 90.00 90.00
Fractional coordinates of all 80 atoms:
Li: 0.084 0.225 0.683
O: 0.973 0.341 0.907
Bi: 0.543 0.335 0.905
O: 0.893 0.073 0.558
O: 0.630 0.678 0.423
Bi: 0.957 0.335 0.405
Bi: 0.457 0.665 0.095
O: 0.701 0.646 0.061
O: 0.616 0.084 0.396
O: 0.135 0.466 0.553
O: 0.635 0.534 0.947
Li: 0.008 0.406 0.149
O: 0.025 0.006 0.267
P: 0.399 0.709 0.665
Li: 0.916 0.775 0.317
P: 0.101 0.709 0.165
O: 0.002 0.363 0.741
O: 0.498 0.363 0.241
O: 0.870 0.678 0.923
O: 0.329 0.629 0.411
O: 0.221 0.090 0.794
O: 0.027 0.659 0.093
O: 0.998 0.637 0.259
O: 0.607 0.073 0.058
P: 0.759 0.552 0.008
O: 0.829 0.371 0.089
O: 0.201 0.354 0.439
Bi: 0.040 0.870 0.908
O: 0.384 0.916 0.604
O: 0.721 0.910 0.706
P: 0.741 0.552 0.508
O: 0.502 0.637 0.759
P: 0.881 0.934 0.675
P: 0.601 0.291 0.335
O: 0.130 0.322 0.077
O: 0.370 0.322 0.577
O: 0.749 0.386 0.301
O: 0.393 0.927 0.942
P: 0.899 0.291 0.835
O: 0.365 0.466 0.053
O: 0.249 0.614 0.199
Li: 0.781 0.639 0.185
Li: 0.584 0.775 0.817
Bi: 0.960 0.130 0.092
O: 0.751 0.386 0.801
Li: 0.281 0.361 0.315
O: 0.931 0.742 0.703
O: 0.299 0.354 0.939
Li: 0.508 0.594 0.351
P: 0.619 0.934 0.175
O: 0.431 0.258 0.797
Bi: 0.460 0.870 0.408
P: 0.381 0.066 0.825
O: 0.107 0.927 0.442
O: 0.473 0.659 0.593
O: 0.171 0.629 0.911
Li: 0.992 0.594 0.851
Li: 0.492 0.406 0.649
O: 0.116 0.916 0.104
O: 0.475 0.006 0.767
O: 0.779 0.910 0.206
O: 0.251 0.614 0.699
O: 0.884 0.084 0.896
Li: 0.719 0.639 0.685
O: 0.279 0.090 0.294
O: 0.865 0.534 0.447
O: 0.527 0.341 0.407
O: 0.525 0.994 0.233
Bi: 0.043 0.665 0.595
O: 0.799 0.646 0.561
P: 0.119 0.066 0.325
Li: 0.219 0.361 0.815
Li: 0.416 0.225 0.183
O: 0.671 0.371 0.589
Bi: 0.540 0.130 0.592
P: 0.241 0.448 0.992
O: 0.069 0.258 0.297
O: 0.975 0.994 0.733
O: 0.569 0.742 0.203
P: 0.259 0.448 0.492

5.
First-principles (PBE-GGA) data for NaCa9TaTi9O30 after structural relaxation, as listed in the Materials Project database.

Its space group is No. 6. The formation energy is -3.51 eV/atom. For the raw total energy, the calculation gives -405.4 eV per formula unit.

abc: 38.477 5.424 5.528
angles: 89.98 90.00 90.00
Fractional coordinates of all 100 atoms:
Ta: 0.050 0.495 0.006
Ta: 0.950 0.495 0.006
O: 0.600 0.581 0.020
Ti: 0.952 0.002 0.511
O: 0.940 0.782 0.778
O: 0.044 0.204 0.210
O: 0.359 0.215 0.214
O: 0.799 0.920 0.520
Ca: 0.201 0.014 0.955
Na: 0.000 0.489 0.477
O: 0.558 0.287 0.715
O: 0.541 0.714 0.286
Ti: 0.450 0.999 0.500
Ca: 0.699 0.986 0.043
O: 0.600 0.920 0.520
O: 0.641 0.288 0.715
O: 0.858 0.708 0.285
O: 0.741 0.789 0.787
O: 0.043 0.284 0.708
O: 0.940 0.714 0.281
Ca: 0.699 0.510 0.541
O: 0.060 0.714 0.281
O: 0.758 0.291 0.716
O: 0.641 0.215 0.214
O: 0.300 0.420 0.981
Ca: 0.898 0.515 0.544
Ca: 0.799 0.490 0.456
O: 0.242 0.291 0.716
Ti: 0.649 0.499 0.000
O: 0.200 0.583 0.020
Ca: 0.799 0.014 0.955
O: 0.459 0.714 0.286
O: 0.658 0.787 0.786
O: 0.142 0.786 0.788
Ca: 0.400 0.012 0.957
Ca: 0.301 0.986 0.043
O: 0.101 0.081 0.480
O: 0.459 0.787 0.786
O: 0.159 0.209 0.211
O: 0.060 0.782 0.778
O: 0.000 0.577 0.015
Ti: 0.150 0.016 0.499
Ti: 0.152 0.514 0.003
Ca: 0.899 0.990 0.047
O: 0.758 0.217 0.214
Ca: 0.600 0.488 0.458
O: 0.101 0.416 0.977
O: 0.000 0.924 0.515
O: 0.259 0.789 0.787
Ti: 0.848 0.514 0.003
Ti: 0.251 0.490 0.995
O: 0.342 0.787 0.786
O: 0.159 0.287 0.711
O: 0.899 0.081 0.480
Ca: 0.301 0.510 0.541
Ti: 0.749 0.490 0.995
Ti: 0.550 0.999 0.500
O: 0.301 0.081 0.481
Ti: 0.350 0.999 0.500
O: 0.956 0.204 0.210
O: 0.658 0.714 0.286
O: 0.957 0.284 0.708
O: 0.700 0.420 0.981
O: 0.899 0.416 0.977
Ti: 0.351 0.499 0.000
Ca: 0.600 0.012 0.957
O: 0.242 0.217 0.214
O: 0.500 0.080 0.481
O: 0.442 0.287 0.715
O: 0.400 0.581 0.020
Ca: 0.500 0.512 0.542
O: 0.201 0.920 0.520
Ca: 0.201 0.490 0.456
Na: 0.000 0.009 0.969
Ca: 0.102 0.515 0.544
O: 0.558 0.214 0.214
Ti: 0.048 0.002 0.511
O: 0.541 0.787 0.786
O: 0.442 0.214 0.214
O: 0.142 0.708 0.285
O: 0.699 0.081 0.481
O: 0.400 0.920 0.520
O: 0.841 0.287 0.711
O: 0.858 0.786 0.788
Ti: 0.450 0.499 0.000
O: 0.741 0.715 0.288
O: 0.259 0.715 0.288
Ti: 0.650 0.999 0.500
Ca: 0.500 0.988 0.043
O: 0.359 0.288 0.715
Ti: 0.850 0.016 0.499
Ca: 0.101 0.990 0.047
Ti: 0.250 0.988 0.499
O: 0.841 0.209 0.211
O: 0.342 0.714 0.286
Ca: 0.400 0.488 0.458
Ti: 0.750 0.988 0.499
Ti: 0.550 0.499 0.000
O: 0.800 0.583 0.020
O: 0.500 0.420 0.981

6.
First-principles (PBE-GGA) data for MgTi2O4 after structural relaxation, as listed in the Materials Project database.

Its space group is No. 59. The formation energy is -3.15 eV/atom. The distance to the lowest polymorph of the same formula is 76 meV/atom. For the raw total energy, the calculation gives -56.5 eV per formula unit.

abc: 5.020 5.805 10.527
angles: 90.00 90.00 90.00
Fractional coordinates of all 28 atoms:
O: 0.637 0.000 0.632
Ti: 0.034 0.500 0.237
Mg: 0.973 0.500 0.500
O: 0.160 0.749 0.633
O: 0.840 0.249 0.133
O: 0.312 0.000 0.849
Ti: 0.034 0.500 0.763
Ti: 0.966 0.000 0.263
O: 0.160 0.749 0.367
O: 0.363 0.500 0.868
O: 0.688 0.500 0.349
Mg: 0.335 0.000 0.500
O: 0.840 0.751 0.133
O: 0.160 0.251 0.367
O: 0.637 0.000 0.368
Ti: 0.966 0.000 0.737
O: 0.840 0.249 0.867
O: 0.312 0.000 0.151
Ti: 0.500 0.750 0.750
O: 0.688 0.500 0.651
Mg: 0.665 0.500 0.000
Mg: 0.027 0.000 0.000
O: 0.160 0.251 0.633
O: 0.363 0.500 0.132
Ti: 0.500 0.250 0.250
O: 0.840 0.751 0.867
Ti: 0.500 0.750 0.250
Ti: 0.500 0.250 0.750

7.
First-principles (PBE-GGA) data for YMgNi4 after structural relaxation, as listed in the Materials Project database.

Its space group is No. 216. The formation energy is -0.39 eV/atom. For the raw total energy, the calculation gives -33.5 eV per formula unit.

abc: 4.936 4.936 4.936
angles: 60.00 60.00 60.00
Fractional coordinates of all 6 atoms:
Mg: 0.750 0.750 0.750
Y: 0.000 0.000 0.000
Ni: 0.376 0.873 0.376
Ni: 0.376 0.376 0.873
Ni: 0.376 0.376 0.376
Ni: 0.873 0.376 0.376

8.
First-principles (PBE-GGA) data for GaFe after structural relaxation, as listed in the Materials Project database.

Its space group is No. 187. The formation energy is -0.06 eV/atom. For the raw total energy, the calculation gives -11.6 eV per formula unit.

abc: 2.748 2.748 4.031
angles: 90.00 90.00 120.00
Fractional coordinates of all 2 atoms:
Ga: 0.000 0.000 0.500
Fe: 0.667 0.333 0.000